Compound: Cu3N
Source: the Materials Project
Functional: PBE-GGA
Structure: relaxed

Calculated values
volume = 12.63 Å³ per atom
total energy = -4.539 eV per atom
ΔE_f = 0.529 eV per atom

a b c (Å): 3.705 3.705 7.361
angles (deg): 90.00 90.00 90.00
Fractional coordinates of all 8 atoms:
Cu 0.000 0.000 0.762
Cu 0.000 0.000 0.238
Cu 0.000 0.500 0.500
Cu 0.500 0.000 0.500
Cu 0.500 0.500 0.829
Cu 0.500 0.500 0.171
N 0.000 0.000 0.000
N 0.000 0.000 0.500